This record from the Materials Project describes MgFe3Co2SbP6O24 after structural relaxation. The functional is PBE+U.

abc: 8.7306 8.7672 8.7685
angles: 59.99 59.58 59.90
Last column: nearest neighbours and their distance in Å.
Fractional coordinates of all 37 atoms:
1 O 0.4436 0.0021 0.1607  1 P 1.60
2 O 0.0866 0.4958 0.0864  1 P 1.49
3 O 0.3118 0.3887 0.5529  1 P 1.54
4 O 0.7738 0.0581 0.9170  1 P 1.61
5 Co 0.5306 0.4905 0.4890  6 O 2.13-2.21
6 Mg 0.1328 0.6216 0.6241  6 O 2.02-2.25
7 O 0.0868 0.0866 0.3309  1 P 1.49
8 O 0.9333 0.4891 0.8818  1 P 1.54
9 O 0.5874 0.6111 0.9914  1 P 1.56
10 O 0.7752 0.9177 0.2505  1 P 1.61
11 O 0.2363 0.9399 0.0871  1 P 1.58
12 O 0.0872 0.3298 0.4961  1 P 1.49
13 O 0.5874 0.8106 0.6109  1 P 1.56
14 P 0.7578 0.4468 0.0488  4 O 1.52-1.61
15 Co 0.0167 0.9976 0.9920  6 O 2.15-2.27
16 Sb 0.5723 0.1422 0.1428  6 O 1.95-2.06
17 O 0.5876 0.9918 0.8099  1 P 1.56
18 Fe 0.9536 0.3493 0.3483  6 O 2.03-2.21
19 O 0.2364 0.7363 0.9411  1 P 1.58
20 O 0.7366 0.5990 0.4231  1 P 1.52
21 Fe 0.7678 0.7447 0.7434  6 O 2.09-2.10
22 O 0.2336 0.0869 0.7387  1 P 1.59
23 O 0.9336 0.6966 0.4873  1 P 1.54
24 P 0.2616 0.5425 0.9464  4 O 1.49-1.59
25 Fe 0.4129 0.8620 0.8631  6 O 1.98-2.08
26 P 0.7590 0.0492 0.7460  4 O 1.52-1.61
27 O 0.7380 0.2413 0.5980  1 P 1.52
28 P 0.2602 0.2503 0.5434  4 O 1.49-1.60
29 P 0.2605 0.9455 0.2510  4 O 1.49-1.60
30 O 0.4436 0.1593 0.3946  1 P 1.60
31 P 0.7590 0.7466 0.4456  4 O 1.52-1.61
32 O 0.4425 0.3932 0.0046  1 P 1.59
33 O 0.9336 0.8818 0.6969  1 P 1.54
34 O 0.3143 0.5511 0.7464  1 P 1.54
35 O 0.3112 0.7464 0.3896  1 P 1.54
36 O 0.7347 0.4240 0.2419  1 P 1.52
37 O 0.7738 0.2522 0.0564  1 P 1.61

**SG**: P1, No. 1
**Density**: 3.5 g/cm3


This record from the Materials Project describes Li9Mn2Co5O16 after structural relaxation. The functional is PBE+U.

abc: 5.1465 7.6817 7.7619
angles: 93.77 109.26 96.49
Last column: nearest neighbours and their distance in Å.
Fractional coordinates of all 32 atoms:
1 O 0.3671 0.2709 0.6035  2 Co 1.89-2.01, 2 Li 2.04-2.06
2 Li 0.9392 0.3218 0.4429  6 O 2.10-2.28
3 Co 0.6262 0.8725 0.6238  4 O 1.88-2.00
4 Co 0.7385 0.2544 0.7446  6 O 1.89-2.09
5 O 0.7394 0.4077 0.9703  3 Co 2.01-2.04, 3 Li 2.08-2.16
6 Li 0.6813 0.5577 0.1931  6 O 2.06-2.25
7 O 0.3720 0.9618 0.1538  2 Mn 1.95-1.98, 1 Co 2.10, 1 Li 2.15
8 O 0.8757 0.7844 0.0863  2 Mn 1.95-1.99, 1 Co 2.09
9 O 0.6170 0.7317 0.4018  1 Mn 1.90, 1 Co 1.96, 2 Li 2.05-2.06
10 O 0.5008 0.6735 0.7181  2 Co 1.88-1.99, 2 Li 2.05-2.06
11 O 0.9189 0.4723 0.6730  2 Co 1.87-2.02, 2 Li 2.04-2.08
12 O 0.7582 0.0843 0.5371  3 Co 1.94-2.04, 2 Li 2.09-2.11
13 Li 0.1761 0.0593 0.6828  5 O 2.04-2.19
14 Mn 0.0019 0.9979 0.9969  6 O 1.92-1.97
15 Mn 0.2478 0.7490 0.2527  6 O 1.90-1.99
16 Li 0.4353 0.8093 0.9331  6 O 2.05-2.22
17 O 0.1311 0.2088 0.9103  1 Mn 1.93, 2 Co 2.09-2.10, 1 Li 2.13
18 Li 0.8133 0.9395 0.3170  6 O 2.03-2.24
19 Co 0.8746 0.6174 0.8616  5 O 1.87-2.09
20 Co 0.1233 0.3776 0.1313  6 O 1.98-2.10
21 Li 0.5628 0.1908 0.0616  6 O 2.07-2.19
22 Co 0.3761 0.1316 0.3779  6 O 1.89-2.10
23 Li 0.4988 0.5044 0.5000  6 O 2.06-2.19
24 O 0.0370 0.8512 0.7973  1 Mn 1.92, 2 Li 2.05, 2 Co 2.06-2.13
25 Li 0.0782 0.6831 0.5646  5 O 2.07-2.23
26 Li 0.3198 0.4376 0.8074  6 O 2.04-2.27
27 O 0.0942 0.5432 0.3320  1 Mn 1.92, 1 Co 2.00, 3 Li 2.06-2.13
28 O 0.2149 0.9061 0.4474  1 Mn 1.93, 2 Co 2.02-2.16, 2 Li 2.03-2.15
29 O 0.9742 0.1481 0.2043  1 Mn 1.97, 2 Co 2.03-2.09, 2 Li 2.09-2.12
30 O 0.4981 0.3298 0.2778  2 Co 1.89-1.98, 2 Li 2.07-2.11
31 O 0.6316 0.0232 0.8453  1 Mn 1.92, 2 Co 2.00-2.08, 1 Li 2.10
32 O 0.2767 0.5991 0.0503  1 Mn 1.94, 2 Co 2.02-2.13, 2 Li 2.08-2.12

**SG**: P1, No. 1
**Density**: 4.2 g/cm3


This record from the Materials Project describes CaV2O4 after structural relaxation. The functional is PBE+U.

abc: 6.3066 6.3066 6.3066
angles: 60.00 60.00 60.00
Last column: nearest neighbours and their distance in Å.
Fractional coordinates of all 14 atoms:
1 O 0.3927 0.3927 0.3927  3 V 2.08, 1 Ca 2.20
2 V 0.6250 0.6250 0.1250  6 O 2.08
3 O 0.8573 0.8573 0.4281  3 V 2.08, 1 Ca 2.20
4 O 0.8573 0.8573 0.8573  3 V 2.08, 1 Ca 2.20
5 V 0.6250 0.6250 0.6250  6 O 2.08
6 V 0.6250 0.1250 0.6250  6 O 2.08
7 O 0.3927 0.8219 0.3927  3 V 2.08, 1 Ca 2.20
8 Ca 0.0000 0.0000 0.0000  4 O 2.20
9 Ca 0.2500 0.2500 0.2500  4 O 2.20
10 O 0.3927 0.3927 0.8219  3 V 2.08, 1 Ca 2.20
11 O 0.4281 0.8573 0.8573  3 V 2.08, 1 Ca 2.20
12 O 0.8573 0.4281 0.8573  3 V 2.08, 1 Ca 2.20
13 V 0.1250 0.6250 0.6250  6 O 2.08
14 O 0.8219 0.3927 0.3927  3 V 2.08, 1 Ca 2.20

**SG**: Fd-3m, No. 227
**Density**: 3.9 g/cm3


This record from the Materials Project describes Li9Mn2Co5O16 after structural relaxation. The functional is PBE+U.

abc: 2.9747 8.0802 11.9310
angles: 90.66 94.18 91.02
Last column: nearest neighbours and their distance in Å.
Fractional coordinates of all 32 atoms:
1 Co 0.4995 0.2506 0.6257  4 O 1.91-1.93
2 O 0.5269 0.4890 0.6309  2 Co 1.92-1.93, 2 Li 2.11-2.12
3 O 0.4733 0.9892 0.8890  1 Co 1.96, 2 Mn 1.99-2.04, 2 Li 2.12-2.15
4 O 0.5266 0.5003 0.1351  1 Co 1.87, 2 Li 1.99
5 Mn 0.5031 0.7493 0.3747  4 O 1.94-1.97
6 O 0.4753 0.0118 0.6201  2 Co 1.93, 3 Li 2.10-2.13
7 Li 0.4936 0.2542 0.8806  5 O 2.00-2.18
8 O 0.0266 0.7322 0.2533  1 Mn 1.95, 1 Co 1.97, 2 Li 2.11-2.17
9 O 0.9948 0.2739 0.2529  1 Co 1.74
10 O 0.0254 0.7398 0.7568  2 Co 1.91-1.94, 2 Li 2.12-2.13
11 O 0.9741 0.7632 0.4981  1 Co 1.93, 1 Mn 1.96, 3 Li 2.10-2.16
12 Li 0.0042 0.0013 0.7465  5 O 2.10-2.13
13 Co 0.0075 0.4881 0.2444  2 O 1.74-1.87
14 Li 0.9994 0.4902 0.0028  6 O 2.08-2.23
15 Li 0.9926 0.0092 0.2499  5 O 2.10-2.24
16 Li 0.5043 0.7459 0.1241  6 O 1.99-2.18
17 O 0.9690 0.7594 0.9914  1 Co 1.91, 1 Mn 2.01
18 Co 0.9982 0.4997 0.7502  4 O 1.92-1.94
19 Co 0.4889 0.7475 0.8763  4 O 1.91-1.96
20 O 0.4757 0.5111 0.8672  2 Co 1.91-1.92, 1 Li 2.08
21 O 0.9734 0.2613 0.7427  2 Co 1.91-1.93, 1 Li 2.11
22 Co 0.9978 0.0015 0.5011  4 O 1.91-1.95
23 Li 0.5073 0.2546 0.1190  5 O 1.99-2.16
24 O 0.5226 0.9992 0.1097  2 Mn 1.95-1.97, 3 Li 2.06-2.10
25 O 0.0064 0.2325 0.9971  1 Mn 1.82, 2 Li 2.00-2.01
26 Li 0.4993 0.7492 0.6256  6 O 2.10-2.18
27 Mn 0.9977 0.0072 0.0027  6 O 1.82-2.04
28 Li 0.5041 0.2527 0.3750  6 O 2.03-2.20
29 O 0.4770 0.5089 0.3702  1 Mn 1.94, 1 Co 1.98, 2 Li 2.07-2.13
30 Li 0.0020 0.4967 0.5009  6 O 2.10-2.18
31 O 0.5269 0.9927 0.3789  1 Co 1.95, 1 Mn 1.97, 3 Li 2.10-2.15
32 O 0.0264 0.2376 0.5074  2 Co 1.91-1.92, 1 Li 2.10

**SG**: P1, No. 1
**Density**: 4.2 g/cm3


| no. | E_form (eV per atom) | energy above the most stable polymorph in this dataset (eV/atom) |
| --- | --- | --- |
| 1 | -2.251 | 0.031 |
| 2 | -1.831 | 0.033 |
| 3 | -2.772 | 0.030 |
| 4 | -1.800 | 0.064 |